1.
Si after structural relaxation. Source: Materials Project, functional r2SCAN.

Unit cell a=3.829 b=10.705 c=12.673 alpha=90.00 beta=90.00 gamma=90.00
Space group Cmcm (No. 63)
Asymmetric unit:
Si (0.000, 0.029, 0.091) x8
Si (0.000, 0.243, 0.055) x8
Si (0.000, 0.429, 0.157) x8

Output
* uncorrected energy: -207.92 eV/cell
* volume: 519 Å³/cell



2.
EuIn3 after structural relaxation. Source: Materials Project, functional r2SCAN.

Unit cell a=6.7870 b=6.7870 c=5.3217 alpha=90.00 beta=90.00 gamma=120.00
Space group P6_3/mmc (No. 194)
Asymmetric unit:
Eu (0.3333, 0.6667, 0.2500) x2
In (0.1577, 0.3154, 0.7500) x6

Output
* uncorrected energy: -216.33 eV/cell
* volume: 212 Å³/cell



3.
YSe after structural relaxation. Source: Materials Project, functional r2SCAN.

Unit cell a=5.757 b=5.757 c=5.757 alpha=90.00 beta=90.00 gamma=90.00
Space group Fm-3m (No. 225)
Asymmetric unit:
Y (0.000, 0.000, 0.000) x4
Se (0.000, 0.000, 0.500) x4

Output
* uncorrected energy: -154.53 eV/cell
* volume: 191 Å³/cell



4.
PuPaO4 after structural relaxation. Source: Materials Project, functional r2SCAN.

Unit cell a=3.823 b=3.823 c=5.475 alpha=90.00 beta=90.00 gamma=90.00
Space group P4/mmm (No. 123)
Asymmetric unit:
Pu (0.000, 0.000, 0.000) x1
Pa (0.500, 0.500, 0.500) x1
O (0.000, 0.500, 0.263) x4

Output
* uncorrected energy: -210.67 eV/cell
* volume: 80 Å³/cell



5.
Fe3P2O8 after structural relaxation. Source: Materials Project, functional r2SCAN.

Unit cell a=6.010 b=4.780 c=10.354 alpha=90.00 beta=90.93 gamma=90.00
Space group P2_1/c (No. 14)
Asymmetric unit:
Fe (0.000, 0.000, 0.000) x2
Fe (0.263, 0.017, 0.719) x4
P (0.240, 0.565, 0.900) x4
O (0.030, 0.709, 0.836) x4
O (0.222, 0.246, 0.898) x4
O (0.247, 0.682, 0.038) x4
O (0.432, 0.674, 0.818) x4

Output
* uncorrected energy: -269.91 eV/cell
* volume: 297 Å³/cell



6.
NpSnAu2 after structural relaxation. Source: Materials Project, functional r2SCAN.

Unit cell a=4.994 b=5.019 c=5.020 alpha=90.46 beta=119.83 gamma=119.61
Space group P-1 (No. 2)
Asymmetric unit:
Np (0.000, 0.000, 0.000) x1
Sn (0.000, 0.500, 0.500) x1
Au (0.500, 0.252, 0.750) x2

Output
* uncorrected energy: -211.24 eV/cell
* volume: 89 Å³/cell



7.
Y2ReB6 after structural relaxation. Source: Materials Project, functional r2SCAN.

Unit cell a=9.179 b=11.559 c=3.683 alpha=90.00 beta=90.00 gamma=90.00
Space group Pbam (No. 55)
Asymmetric unit:
Y (0.057, 0.130, 0.000) x4
Y (0.176, 0.414, 0.000) x4
Re (0.138, 0.679, 0.000) x4
B (0.017, 0.288, 0.500) x4
B (0.053, 0.567, 0.500) x4
B (0.100, 0.972, 0.500) x4
B (0.131, 0.814, 0.500) x4
B (0.209, 0.235, 0.500) x4
B (0.248, 0.582, 0.500) x4

Output
* uncorrected energy: -572.82 eV/cell
* volume: 391 Å³/cell



8.
TiBi2O5 after structural relaxation. Source: Materials Project, functional r2SCAN.

Unit cell a=15.847 b=5.582 c=5.518 alpha=90.00 beta=90.00 gamma=90.00
Space group Cmc2_1 (No. 36)
Asymmetric unit:
Ti (0.000, 0.191, 0.000) x4
Bi (0.170, 0.289, 0.464) x8
O (0.000, 0.088, 0.680) x4
O (0.095, 0.350, 0.072) x8
O (0.249, 0.481, 0.742) x8

Output
* uncorrected energy: -705.93 eV/cell
* volume: 488 Å³/cell



9.
TmHg3 after structural relaxation. Source: Materials Project, functional r2SCAN.

Unit cell a=6.5472 b=6.5472 c=4.9232 alpha=90.00 beta=90.00 gamma=120.00
Space group P6_3/mmc (No. 194)
Asymmetric unit:
Tm (0.3333, 0.6667, 0.2500) x2
Hg (0.1670, 0.3341, 0.7500) x6

Output
* uncorrected energy: -369.36 eV/cell
* volume: 183 Å³/cell



10.
ErMgZn2 after structural relaxation. Source: Materials Project, functional r2SCAN.

Unit cell a=6.718 b=6.718 c=6.718 alpha=90.00 beta=90.00 gamma=90.00
Space group Fm-3m (No. 225)
Asymmetric unit:
Er (0.000, 0.000, 0.000) x4
Mg (0.000, 0.000, 0.500) x4
Zn (0.250, 0.250, 0.250) x8

Output
* uncorrected energy: -229.20 eV/cell
* volume: 303 Å³/cell



11.
Sm2TeO2 after structural relaxation. Source: Materials Project, functional r2SCAN.

Unit cell a=4.005 b=4.005 c=12.738 alpha=90.00 beta=90.00 gamma=90.00
Space group I4/mmm (No. 139)
Asymmetric unit:
Sm (0.000, 0.000, 0.161) x4
Te (0.000, 0.000, 0.500) x2
O (0.000, 0.500, 0.250) x4

Output
* uncorrected energy: -226.05 eV/cell
* volume: 204 Å³/cell



12.
Zr2Ni after structural relaxation. Source: Materials Project, functional r2SCAN.

Unit cell a=6.471 b=6.471 c=5.240 alpha=90.00 beta=90.00 gamma=90.00
Space group I4/mcm (No. 140)
Asymmetric unit:
Zr (0.164, 0.336, 0.000) x8
Ni (0.000, 0.000, 0.250) x4

Output
* uncorrected energy: -233.65 eV/cell
* volume: 219 Å³/cell



13.
ThMo2O8 after structural relaxation. Source: Materials Project, functional r2SCAN.

Unit cell a=9.989 b=14.519 c=10.289 alpha=90.00 beta=90.00 gamma=90.00
Space group Pbca (No. 61)
Asymmetric unit:
Th (0.218, 0.110, 0.032) x8
Mo (0.003, 0.059, 0.720) x8
Mo (0.166, 0.656, 0.391) x8
O (0.006, 0.174, 0.086) x8
O (0.099, 0.128, 0.824) x8
O (0.099, 0.627, 0.885) x8
O (0.102, 0.009, 0.183) x8
O (0.105, 0.513, 0.125) x8
O (0.201, 0.539, 0.427) x8
O (0.212, 0.678, 0.228) x8
O (0.241, 0.228, 0.495) x8

Output
* uncorrected energy: -1628.04 eV/cell
* volume: 1492 Å³/cell



14.
Rb3Fe2Se4 after structural relaxation. Source: Materials Project, functional r2SCAN.

Unit cell a=7.731 b=11.540 c=12.553 alpha=90.00 beta=90.00 gamma=90.00
Space group Pnma (No. 62)
Asymmetric unit:
Rb (0.076, 0.068, 0.136) x8
Rb (0.090, 0.250, 0.768) x4
Fe (0.052, 0.133, 0.470) x8
Se (0.085, 0.750, 0.666) x4
Se (0.146, 0.556, 0.394) x8
Se (0.203, 0.750, 0.031) x4

Output
* uncorrected energy: -547.28 eV/cell
* volume: 1120 Å³/cell



15.
PrErTl2 after structural relaxation. Source: Materials Project, functional r2SCAN.

Unit cell a=5.432 b=5.432 c=7.626 alpha=90.00 beta=90.00 gamma=90.00
Space group I4/mmm (No. 139)
Asymmetric unit:
Pr (0.000, 0.000, 0.000) x2
Er (0.000, 0.000, 0.500) x2
Tl (0.000, 0.500, 0.250) x4

Output
* uncorrected energy: -342.92 eV/cell
* volume: 225 Å³/cell



16.
TlSbAu after structural relaxation. Source: Materials Project, functional r2SCAN.

Unit cell a=6.652 b=14.636 c=6.605 alpha=90.00 beta=90.00 gamma=90.00
Space group Pna2_1 (No. 33)
Asymmetric unit:
Tl (0.079, 0.205, 0.000) x4
Tl (0.124, 0.967, 0.276) x4
Sb (0.105, 0.428, 0.269) x4
Sb (0.154, 0.681, 0.022) x4
Au (0.037, 0.608, 0.387) x4
Au (0.039, 0.858, 0.911) x4

Output
* uncorrected energy: -1038.76 eV/cell
* volume: 643 Å³/cell



17.
SrSi2Pd2 after structural relaxation. Source: Materials Project, functional r2SCAN.

Unit cell a=4.304 b=4.304 c=10.000 alpha=90.00 beta=90.00 gamma=90.00
Space group I4/mmm (No. 139)
Asymmetric unit:
Sr (0.000, 0.000, 0.000) x2
Si (0.000, 0.000, 0.374) x4
Pd (0.000, 0.500, 0.250) x4

Output
* uncorrected energy: -164.78 eV/cell
* volume: 185 Å³/cell